(1)
DFT (PBE with a Hubbard U) results for crystalline Nb3CoP6O24 at its relaxed geometry.

Cell: 8.9144 8.9144 8.9144 Å, 58.46 58.46 58.46°
Last column: nearest neighbours and their distance in Å.
Fractional coordinates of all 34 atoms:
Nb1 0.6386 0.6386 0.6386  6 O 1.96-2.01
Nb2 0.1401 0.1401 0.1401  6 O 1.97-2.00
Nb3 0.3583 0.3583 0.3583  6 O 1.98-2.01
O1 0.2177 0.9955 0.3661  1 P 1.55
O2 0.4392 0.5794 0.2091  1 P 1.56
O3 0.9198 0.0601 0.2925  1 P 1.56
O4 0.9955 0.3661 0.2177  1 P 1.55
O5 0.0099 0.6422 0.7757  1 P 1.51
O6 0.6422 0.7757 0.0099  1 P 1.51
O7 0.3661 0.2177 0.9955  1 P 1.55
O8 0.2091 0.4392 0.5794  1 P 1.56
O9 0.1334 0.5044 0.2779  1 P 1.56
O10 0.2779 0.1334 0.5044  1 P 1.56
O11 0.7898 0.5634 0.4168  1 P 1.56
O12 0.7757 0.0099 0.6422  1 P 1.51
O13 0.7200 0.8634 0.4991  1 P 1.54
O14 0.0601 0.2925 0.9198  1 P 1.56
O15 0.8634 0.4991 0.7200  1 P 1.54
O16 0.2925 0.9198 0.0601  1 P 1.56
O17 0.4168 0.7898 0.5634  1 P 1.56
O18 0.4991 0.7200 0.8634  1 P 1.54
O19 0.5794 0.2091 0.4392  1 P 1.56
O20 0.5634 0.4168 0.7898  1 P 1.56
O21 0.9403 0.7209 0.0686  1 P 1.50
O22 0.0686 0.9403 0.7209  1 P 1.50
O23 0.7209 0.0686 0.9403  1 P 1.50
O24 0.5044 0.2779 0.1334  1 P 1.56
P1 0.0297 0.4770 0.7505  4 O 1.51-1.56
P2 0.9647 0.5448 0.2353  4 O 1.50-1.56
P3 0.4770 0.7505 0.0297  4 O 1.51-1.56
P4 0.5448 0.2353 0.9647  4 O 1.50-1.56
P5 0.7505 0.0297 0.4770  4 O 1.51-1.56
P6 0.2353 0.9647 0.5448  4 O 1.50-1.56
Co1 0.8558 0.8558 0.8558  6 O 1.92-1.94

Results
E (MP2020) = -280.80 eV for the cell shown
electronic total energy = -7.7256 eV per atom
calculated formation energy = -2.710 eV per atom
SG = R3 (146)

(2)
DFT (PBE with a Hubbard U) results for crystalline NbCo3P4O16 at its relaxed geometry.

Cell: 6.0010 4.9653 9.9939 Å, 89.24 90.00 90.00°
Last column: nearest neighbours and their distance in Å.
Fractional coordinates of all 24 atoms:
Co1 0.5000 0.5439 0.2314  6 O 2.00-2.24
Co2 0.0000 0.0300 0.2648  2 O 1.86-2.01
Co3 0.0000 0.4619 0.7766  4 O 1.95-2.18
O1 0.7995 0.7427 0.1707  1 P 1.57
O2 0.2045 0.7949 0.6706  1 P 1.62
O3 0.5000 0.1485 0.5530  1 P 1.65
O4 0.7052 0.2257 0.3331  1 P 1.54
O5 0.6956 0.2446 0.8295  1 P 1.60
O6 0.0000 0.2341 0.6163  1 P 1.51
O7 0.2948 0.2257 0.3331  1 P 1.54
O8 0.0000 0.8495 0.4459  1 P 1.51
O9 0.2005 0.7427 0.1707  1 P 1.57
O10 0.5000 0.7767 0.3931  1 P 1.51
O11 0.3044 0.2446 0.8295  1 P 1.60
O12 0.0000 0.2877 0.1283  1 P 1.56
O13 0.0000 0.6403 0.9495  1 P 1.53
O14 0.7955 0.7949 0.6706  1 P 1.62
O15 0.5000 0.3422 0.0547  1 P 1.48
O16 0.5000 0.6929 0.8660  1 P 1.55
P1 0.5000 0.3915 0.9086  4 O 1.48-1.60
P2 0.0000 0.5972 0.1010  4 O 1.53-1.57
P3 0.5000 0.0800 0.3918  4 O 1.51-1.65
P4 0.0000 0.9353 0.5900  4 O 1.51-1.62
Nb1 0.5000 0.9726 0.7213  6 O 1.88-2.10

Results
E (MP2020) = -183.86 eV for the cell shown
electronic total energy = -6.9981 eV per atom
calculated formation energy = -2.151 eV per atom
SG = Pm (6)

(3)
DFT (PBE with a Hubbard U) results for crystalline Nb2CoP6O21 at its relaxed geometry.

Cell: 8.0786 6.6335 16.9572 Å, 67.54 90.00 90.00°
Last column: nearest neighbours and their distance in Å.
Fractional coordinates of all 60 atoms:
O1 0.0242 0.6013 0.0841  1 P 1.55
O2 0.7065 0.7960 0.3528  1 P 1.55
O3 0.7935 0.7960 0.8528  1 P 1.55
O4 0.7178 0.1678 0.9542  1 P 1.48
O5 0.4262 0.3726 0.7601  1 P 1.55
O6 0.9262 0.6274 0.7399  1 P 1.55
O7 0.5242 0.3987 0.4159  1 P 1.55
O8 0.7822 0.1678 0.4542  1 P 1.48
O9 0.2935 0.2040 0.6472  1 P 1.55
O10 0.2563 0.6087 0.3089  1 P 1.55
O11 0.9921 0.8597 0.4065  1 P 1.48
O12 0.0079 0.1403 0.5935  1 P 1.48
O13 0.9758 0.3987 0.9159  1 P 1.55
O14 0.1101 0.7663 0.9301  1 P 1.56
O15 0.0738 0.3726 0.2601  1 P 1.55
O16 0.3899 0.7663 0.4301  1 P 1.56
O17 0.4466 0.4045 0.1694  2 P 1.61
O18 0.9466 0.5955 0.3306  2 P 1.61
O19 0.2822 0.8322 0.0458  1 P 1.48
O20 0.2437 0.6087 0.8089  1 P 1.55
O21 0.1302 0.2692 0.4189  1 P 1.48
O22 0.5534 0.5955 0.8306  2 P 1.61
O23 0.0735 0.0031 0.7523  1 P 1.56
O24 0.6302 0.7308 0.0811  1 P 1.48
O25 0.9265 0.9969 0.2477  1 P 1.56
O26 0.6101 0.2337 0.5699  1 P 1.56
O27 0.5000 0.0000 0.5000  2 P 1.58
O28 0.4265 0.0031 0.2523  1 P 1.56
O29 0.4921 0.1403 0.0935  1 P 1.48
O30 0.5735 0.9969 0.7477  1 P 1.56
O31 0.5738 0.6274 0.2399  1 P 1.55
O32 0.3698 0.2692 0.9189  1 P 1.48
O33 0.7563 0.3913 0.1911  1 P 1.55
O34 0.7437 0.3913 0.6911  1 P 1.55
O35 0.2065 0.2040 0.1472  1 P 1.55
O36 0.0000 0.0000 0.0000  2 P 1.58
O37 0.5079 0.8597 0.9065  1 P 1.48
O38 0.8899 0.2337 0.0699  1 P 1.56
O39 0.8698 0.7308 0.5811  1 P 1.48
O40 0.0534 0.4045 0.6694  2 P 1.61
O41 0.2178 0.8322 0.5458  1 P 1.48
O42 0.4758 0.6013 0.5841  1 P 1.55
P1 0.8930 0.5511 0.6656  4 O 1.48-1.61
P2 0.6157 0.2036 0.4833  4 O 1.48-1.58
P3 0.3843 0.7964 0.5167  4 O 1.48-1.58
P4 0.1070 0.4489 0.3344  4 O 1.48-1.61
P5 0.8967 0.8208 0.3391  4 O 1.48-1.61
P6 0.1157 0.7964 0.0167  4 O 1.48-1.58
P7 0.8843 0.2036 0.9833  4 O 1.48-1.58
P8 0.1033 0.1792 0.6609  4 O 1.48-1.61
P9 0.3967 0.1792 0.1609  4 O 1.48-1.61
P10 0.6033 0.8208 0.8391  4 O 1.48-1.61
P11 0.3930 0.4489 0.8344  4 O 1.48-1.61
P12 0.6070 0.5511 0.1656  4 O 1.48-1.61
Co1 0.5000 0.0000 0.0000  6 O 2.07-2.12
Co2 0.0000 0.0000 0.5000  6 O 2.07-2.12
Nb1 0.9786 0.2972 0.1667  6 O 1.98-2.01
Nb2 0.0214 0.7028 0.8333  6 O 1.98-2.01
Nb3 0.5214 0.2972 0.6667  6 O 1.98-2.01
Nb4 0.4786 0.7028 0.3333  6 O 1.98-2.01

Results
E (MP2020) = -486.65 eV for the cell shown
electronic total energy = -7.5753 eV per atom
calculated formation energy = -2.654 eV per atom
SG = P2_1/c (14)

(4)
DFT (PBE with a Hubbard U) results for crystalline NbCoPb2O6 at its relaxed geometry.

Cell: 5.6883 5.6883 5.6883 Å, 60.00 60.00 60.00°
Last column: nearest neighbours and their distance in Å.
Fractional coordinates of all 10 atoms:
O1 0.7494 0.2506 0.2506  1 Co 2.01, 1 Nb 2.02
O2 0.2506 0.7494 0.2506  1 Co 2.01, 1 Nb 2.02
O3 0.7494 0.7494 0.2506  1 Co 2.01, 1 Nb 2.02
O4 0.7494 0.2506 0.7494  1 Co 2.01, 1 Nb 2.02
O5 0.2506 0.7494 0.7494  1 Co 2.01, 1 Nb 2.02
O6 0.2506 0.2506 0.7494  1 Co 2.01, 1 Nb 2.02
Co1 0.5000 0.5000 0.5000  6 O 2.01
Nb1 0.0000 0.0000 0.0000  6 O 2.02
Pb1 0.7500 0.7500 0.7500  12 O 2.84
Pb2 0.2500 0.2500 0.2500  12 O 2.84

Results
E (MP2020) = -73.41 eV for the cell shown
electronic total energy = -6.7648 eV per atom
calculated formation energy = -1.909 eV per atom
SG = Fm-3m (225)

(5)
DFT (PBE with a Hubbard U) results for crystalline Nb2CoPb3O9 at its relaxed geometry.

Cell: 5.7621 15.2929 9.9776 Å, 109.00 90.01 79.15°
Last column: nearest neighbours and their distance in Å.
Fractional coordinates of all 60 atoms:
O1 0.1666 0.1667 0.6668  2 Nb 2.10
O2 0.2528 0.0024 0.2499  1 Nb 1.94, 1 Co 2.08
O3 0.3383 0.8309 0.3333  1 Nb 1.95, 1 Co 2.08
O4 0.4168 0.1665 0.4166  2 Nb 2.10
O5 0.4166 0.6666 0.4165  2 Nb 2.10
O6 0.2448 0.0029 0.7509  1 Nb 1.94, 1 Co 2.08
O7 0.0886 0.3305 0.5826  1 Nb 1.94, 1 Co 2.08
O8 0.3349 0.3308 0.8295  1 Nb 1.94, 1 Co 2.08
O9 0.4947 0.5027 0.5007  1 Nb 1.94, 1 Co 2.08
O10 0.1667 0.6666 0.6667  2 Nb 2.10
O11 0.6666 0.1667 0.6667  2 Nb 2.10
O12 0.5884 0.3310 0.0834  1 Nb 1.95, 1 Co 2.08
O13 0.8349 0.3302 0.3298  1 Nb 1.95, 1 Co 2.08
O14 0.2483 0.5026 0.2538  1 Nb 1.94, 1 Co 2.08
O15 0.7524 0.0029 0.7510  1 Nb 1.95, 1 Co 2.08
O16 0.8306 0.8308 0.3334  1 Nb 1.94, 1 Co 2.08
O17 0.9165 0.1668 0.9168  2 Nb 2.09-2.10
O18 0.8386 0.8306 0.8326  1 Nb 1.94, 1 Co 2.08
O19 0.9983 0.0026 0.5039  1 Nb 1.94, 1 Co 2.08
O20 0.3307 0.8306 0.8324  1 Nb 1.95, 1 Co 2.08
O21 0.0804 0.3309 0.0834  1 Nb 1.94, 1 Co 2.08
O22 0.5027 0.5026 0.0000  1 Nb 1.94, 1 Co 2.08
O23 0.6667 0.6667 0.1667  2 Nb 2.10
O24 0.0850 0.8307 0.0795  1 Nb 1.94, 1 Co 2.08
O25 0.5809 0.3305 0.5824  1 Nb 1.95, 1 Co 2.08
O26 0.7484 0.5031 0.7536  1 Nb 1.94, 1 Co 2.08
O27 0.9167 0.6667 0.9169  2 Nb 2.10
O28 0.4983 0.0032 0.0035  1 Nb 1.94, 1 Co 2.08
O29 0.1666 0.1667 0.1667  2 Nb 2.09-2.10
O30 0.4167 0.6668 0.9169  2 Nb 2.10
O31 0.0026 0.5027 0.5008  1 Nb 1.94, 1 Co 2.08
O32 0.9949 0.5024 0.0001  1 Nb 1.95, 1 Co 2.08
O33 0.6666 0.1667 0.1667  2 Nb 2.10
O34 0.9167 0.6666 0.4164  2 Nb 2.09-2.10
O35 0.7449 0.0023 0.2499  1 Nb 1.95, 1 Co 2.08
O36 0.5849 0.8302 0.5797  1 Nb 1.94, 1 Co 2.08
Nb1 0.3715 0.2569 0.6286  6 O 1.94-2.10
Nb2 0.9619 0.0764 0.7047  6 O 1.94-2.10
Nb3 0.8719 0.2568 0.1283  6 O 1.94-2.10
Nb4 0.4614 0.0766 0.2048  6 O 1.94-2.10
Nb5 0.1215 0.7569 0.8784  6 O 1.94-2.10
Nb6 0.6220 0.7568 0.3787  6 O 1.94-2.10
Nb7 0.2118 0.5765 0.4549  6 O 1.94-2.10
Nb8 0.7115 0.5765 0.9547  6 O 1.94-2.10
Pb1 0.4171 0.1658 0.9162  12 O 2.85-2.89
Pb2 0.2503 0.4994 0.7497  12 O 2.87-2.90
Pb3 0.0003 0.9994 0.9999  12 O 2.88-2.90
Pb4 0.5004 0.9998 0.4987  12 O 2.87-2.92
Pb5 0.5831 0.8336 0.0845  12 O 2.87-2.92
Pb6 0.6666 0.6667 0.6667  12 O 2.86-2.88
Pb7 0.8331 0.3335 0.8346  12 O 2.87-2.92
Pb8 0.9162 0.1675 0.4170  12 O 2.85-2.89
Pb9 0.0832 0.8338 0.5836  12 O 2.87-2.90
Pb10 0.3331 0.3339 0.3336  12 O 2.87-2.90
Pb11 0.7504 0.4997 0.2489  12 O 2.87-2.92
Pb12 0.1667 0.6667 0.1666  12 O 2.87-2.88
Co1 0.2917 0.4166 0.0417  6 O 2.08
Co2 0.0417 0.9167 0.2916  6 O 2.08
Co3 0.5417 0.9166 0.7917  6 O 2.08
Co4 0.7917 0.4167 0.5416  6 O 2.08

Results
E (MP2020) = -462.78 eV for the cell shown
electronic total energy = -7.1916 eV per atom
calculated formation energy = -2.181 eV per atom
SG = C2/m (12)

no.,mass density (g/cm³)
1,3.12
2,3.62
3,3.03
4,8.45
5,8.24